[1]
The following is a GGA+U calculation of Li9Mn2Co5O16 after structural relaxation, from the Materials Project.

abc: 3.0227 9.7679 9.9899
angles: 87.31 88.39 82.59
Sites, in units of the cell vectors:
Li1 0.0000 0.0000 0.0000
Li2 0.0069 0.9916 0.4970
Li3 0.2517 0.4911 0.3752
Li4 0.2647 0.4896 0.8747
Li5 0.3836 0.2428 0.0636
Li6 0.4933 0.9981 0.2541
Li7 0.5119 0.9951 0.7520
Li8 0.7611 0.4948 0.6299
Li9 0.7706 0.4849 0.1257
Mn1 0.1316 0.7433 0.1883
Mn2 0.3835 0.2432 0.5636
Co1 0.1333 0.7446 0.6889
Co2 0.6270 0.7427 0.9373
Co3 0.6390 0.7424 0.4403
Co4 0.8673 0.2443 0.3029
Co5 0.8988 0.2426 0.8242
O1 0.0793 0.8578 0.8417
O2 0.0938 0.8563 0.3445
O3 0.1735 0.6276 0.0332
O4 0.1882 0.6276 0.5367
O5 0.2879 0.3571 0.2270
O6 0.3011 0.3580 0.7169
O7 0.4647 0.1284 0.4108
O8 0.4828 0.1291 0.8998
O9 0.5318 0.8615 0.0898
O10 0.5893 0.8593 0.5919
O11 0.6753 0.6293 0.7843
O12 0.7279 0.6270 0.2864
O13 0.7976 0.3541 0.4613
O14 0.8281 0.3582 0.9524
O15 0.9366 0.1278 0.1755
O16 0.9695 0.1324 0.6661

Values from the calculation:
- E above lowest polymorph (eV per atom) = 0.0751
- total moment (μB per cell) = 14.00
- energy of formation (eV/atom) = -1.7890
- total energy after the MP2020 corrections (eV/f.u.) = -207.46

=====

[2]
The following is a GGA+U calculation of LiFePO5 after structural relaxation, from the Materials Project.

abc: 7.1653 7.1653 10.7095
angles: 109.97 109.97 43.58
Sites, in units of the cell vectors:
Li1 0.0000 0.5000 0.0000
Li2 0.0102 0.9898 0.7500
Li3 0.5000 0.0000 0.5000
Li4 0.9898 0.0102 0.2500
Fe1 0.0000 0.0000 0.0000
Fe2 0.0000 0.0000 0.5000
Fe3 0.0000 0.5000 0.5000
Fe4 0.5000 0.0000 0.0000
P1 0.3706 0.3813 0.3160
P2 0.3813 0.3706 0.8160
P3 0.6187 0.6294 0.1840
P4 0.6294 0.6187 0.6840
O1 0.0920 0.1627 0.4582
O2 0.1627 0.0920 0.9582
O3 0.1975 0.6832 0.8533
O4 0.2088 0.6910 0.3526
O5 0.2881 0.3102 0.3963
O6 0.3090 0.7912 0.1474
O7 0.3102 0.2881 0.8963
O8 0.3103 0.3176 0.1634
O9 0.3168 0.8025 0.6467
O10 0.3176 0.3103 0.6634
O11 0.6824 0.6897 0.3366
O12 0.6832 0.1975 0.3533
O13 0.6897 0.6824 0.8366
O14 0.6898 0.7119 0.1037
O15 0.6910 0.2088 0.8526
O16 0.7119 0.6898 0.6037
O17 0.7912 0.3090 0.6474
O18 0.8025 0.3168 0.1467
O19 0.8373 0.9080 0.0418
O20 0.9080 0.8373 0.5418

Values from the calculation:
- E above lowest polymorph (eV per atom) = 0.0087
- total moment (μB per cell) = 16.00
- energy of formation (eV/atom) = -2.1653
- total energy after the MP2020 corrections (eV/f.u.) = -57.85

=====

[3]
The following is a GGA+U calculation of Li9Mn2Co5O16 after structural relaxation, from the Materials Project.

abc: 2.9513 10.0538 10.2292
angles: 108.19 90.76 91.07
Sites, in units of the cell vectors:
Li1 0.0000 0.0000 0.0000
Li2 0.0011 0.7484 0.7496
Li3 0.4768 0.7588 0.0062
Li4 0.4843 0.7486 0.5161
Li5 0.4880 0.2564 0.0081
Li6 0.5026 0.2449 0.5065
Li7 0.9756 0.5177 0.5199
Li8 0.9886 0.5034 0.0105
Li9 0.9963 0.0006 0.5110
Mn1 0.4746 0.5081 0.7602
Mn2 0.9902 0.2536 0.2605
Co1 0.4846 0.5165 0.2597
Co2 0.4897 0.9905 0.2569
Co3 0.5045 0.9952 0.7590
Co4 0.9782 0.2528 0.7631
Co5 0.9914 0.7541 0.2587
O1 0.0434 0.8907 0.6438
O2 0.4407 0.3757 0.8730
O3 0.4820 0.1420 0.1526
O4 0.4854 0.6133 0.6430
O5 0.4889 0.6233 0.1389
O6 0.4964 0.8834 0.3765
O7 0.4971 0.8966 0.8723
O8 0.4988 0.3641 0.3677
O9 0.5242 0.1283 0.6518
O10 0.9615 0.1285 0.8712
O11 0.9656 0.3832 0.6552
O12 0.9828 0.3762 0.1493
O13 0.9839 0.6124 0.8691
O14 0.9838 0.8855 0.1321
O15 0.9933 0.1307 0.3721
O16 0.9943 0.6214 0.3821

Values from the calculation:
- E above lowest polymorph (eV per atom) = 0.1943
- total moment (μB per cell) = 0.90
- energy of formation (eV/atom) = -1.6698
- total energy after the MP2020 corrections (eV/f.u.) = -203.65

=====

[4]
The following is a GGA+U calculation of Li6CrO6 after structural relaxation, from the Materials Project.

abc: 5.6590 5.6590 10.9035
angles: 90.91 90.91 59.49
Sites, in units of the cell vectors:
Li1 0.0018 0.9982 0.5000
Li2 0.3292 0.9421 0.7621
Li3 0.3303 0.6202 0.6520
Li4 0.3539 0.9429 0.1761
Li5 0.6202 0.3303 0.1520
Li6 0.6442 0.6820 0.4998
Li7 0.6820 0.6442 0.9998
Li8 0.7182 0.9652 0.6785
Li9 0.9421 0.3292 0.2621
Li10 0.9429 0.3539 0.6761
Li11 0.9652 0.7182 0.1785
Li12 0.9982 0.0018 0.0000
Cr1 0.3259 0.3271 0.9082
Cr2 0.3271 0.3259 0.4082
O1 0.0261 0.9897 0.6721
O2 0.0388 0.3307 0.4522
O3 0.0501 0.6083 0.9619
O4 0.3177 0.3231 0.2547
O5 0.3231 0.3177 0.7547
O6 0.3242 0.6073 0.4606
O7 0.3307 0.0388 0.9522
O8 0.6073 0.3242 0.9606
O9 0.6083 0.0501 0.4619
O10 0.6309 0.6874 0.6718
O11 0.6874 0.6309 0.1718
O12 0.9897 0.0261 0.1721

Values from the calculation:
- total moment (μB per cell) = 0.00
- energy of formation (eV/atom) = -1.9943
- total energy after the MP2020 corrections (eV/f.u.) = -76.72

=====

[5]
The following is a GGA+U calculation of Li9Mn2Co5O16 after structural relaxation, from the Materials Project.

abc: 10.5983 10.5983 9.8908
angles: 107.60 107.60 15.87
Sites, in units of the cell vectors:
Li1 0.0000 0.0000 0.0000
Li2 0.1302 0.1302 0.6148
Li3 0.2440 0.2440 0.2599
Li4 0.3704 0.3704 0.8653
Li5 0.5002 0.5002 0.4957
Li6 0.6285 0.6285 0.1334
Li7 0.6871 0.6871 0.4371
Li8 0.7505 0.7505 0.7415
Li9 0.8723 0.8723 0.3789
Mn1 0.4374 0.4374 0.1869
Mn2 0.5622 0.5622 0.8110
Co1 0.0720 0.0720 0.3159
Co2 0.1907 0.1907 0.9372
Co3 0.3019 0.3019 0.5536
Co4 0.8085 0.8085 0.0623
Co5 0.9310 0.9310 0.6809
O1 0.0334 0.0334 0.6746
O2 0.0905 0.0905 0.9481
O3 0.1493 0.1493 0.2755
O4 0.2243 0.2243 0.5955
O5 0.2820 0.2820 0.9148
O6 0.3469 0.3469 0.2036
O7 0.4095 0.4095 0.5398
O8 0.4745 0.4745 0.8331
O9 0.5253 0.5253 0.1669
O10 0.5883 0.5883 0.4554
O11 0.6523 0.6523 0.7924
O12 0.7176 0.7176 0.0851
O13 0.7836 0.7836 0.4143
O14 0.8481 0.8481 0.7131
O15 0.9089 0.9089 0.0477
O16 0.9638 0.9638 0.3216

Values from the calculation:
- E above lowest polymorph (eV per atom) = 0.0619
- total moment (μB per cell) = 14.00
- energy of formation (eV/atom) = -1.8023
- total energy after the MP2020 corrections (eV/f.u.) = -207.89

=====

[6]
The following is a GGA+U calculation of CaNi2O5 after structural relaxation, from the Materials Project.

abc: 3.7192 10.8533 5.4042
angles: 90.00 90.00 90.00
Sites, in units of the cell vectors:
Ca1 0.2500 0.2500 0.1307
Ca2 0.7500 0.7500 0.8693
Ni1 0.2500 0.5985 0.4713
Ni2 0.2500 0.9015 0.4713
Ni3 0.7500 0.0985 0.5287
Ni4 0.7500 0.4015 0.5287
O1 0.2500 0.0729 0.4309
O2 0.2500 0.4271 0.4309
O3 0.2500 0.6841 0.1393
O4 0.2500 0.7500 0.6246
O5 0.2500 0.8159 0.1393
O6 0.7500 0.1841 0.8607
O7 0.7500 0.2500 0.3754
O8 0.7500 0.3159 0.8607
O9 0.7500 0.5729 0.5691
O10 0.7500 0.9271 0.5691

Values from the calculation:
- E above lowest polymorph (eV per atom) = 0.0036
- total moment (μB per cell) = 5.24
- energy of formation (eV/atom) = -1.1136
- total energy after the MP2020 corrections (eV/f.u.) = -47.21

=====

[7]
The following is a GGA+U calculation of CsSbWO6 after structural relaxation, from the Materials Project.

abc: 7.4035 7.4035 7.4035
angles: 120.68 119.73 89.65
Sites, in units of the cell vectors:
Cs1 0.3728 0.1228 0.2500
Cs2 0.6272 0.8772 0.7500
Sb1 0.0000 0.0000 0.5000
Sb2 0.0000 0.5000 0.0000
W1 0.0000 0.5000 0.5000
W2 0.5000 0.5000 0.0000
O1 0.0652 0.4352 0.2545
O2 0.0652 0.8107 0.6300
O3 0.0735 0.8235 0.2500
O4 0.3083 0.5583 0.7500
O5 0.3193 0.1893 0.7545
O6 0.3193 0.5648 0.1300
O7 0.6807 0.4352 0.8700
O8 0.6807 0.8107 0.2455
O9 0.6917 0.4417 0.2500
O10 0.9265 0.1765 0.7500
O11 0.9348 0.1893 0.3700
O12 0.9348 0.5648 0.7455

Values from the calculation:
- total moment (μB per cell) = 0.00
- energy of formation (eV/atom) = -2.1747
- total energy after the MP2020 corrections (eV/f.u.) = -67.24

=====

[8]
The following is a GGA+U calculation of Li3Fe9O5F11 after structural relaxation, from the Materials Project.

abc: 6.2700 6.2872 10.7030
angles: 73.05 72.98 60.41
Sites, in units of the cell vectors:
Li1 0.0000 0.0000 0.0000
Li2 0.0155 0.4999 0.5067
Li3 0.5167 0.9924 0.5101
Fe1 0.0050 0.5010 0.0007
Fe2 0.0562 0.0457 0.3394
Fe3 0.2729 0.2593 0.7376
Fe4 0.4962 0.4838 0.5113
Fe5 0.5054 0.4059 0.1716
Fe6 0.5123 0.9979 0.0045
Fe7 0.5502 0.5288 0.8216
Fe8 0.7601 0.7572 0.2389
Fe9 0.9365 0.9212 0.6666
O1 0.1446 0.6069 0.6102
O2 0.3423 0.3541 0.8863
O3 0.6224 0.1348 0.6086
O4 0.6564 0.0850 0.1178
O5 0.6649 0.6278 0.1118
F1 0.1234 0.1172 0.1347
F2 0.1366 0.6295 0.1235
F3 0.1497 0.1330 0.6205
F4 0.3707 0.3665 0.3772
F5 0.3743 0.8837 0.8826
F6 0.4046 0.8508 0.3832
F7 0.6365 0.6244 0.6196
F8 0.8667 0.8438 0.3831
F9 0.8705 0.3996 0.3732
F10 0.8943 0.3551 0.8745
F11 0.9002 0.8783 0.8777

Values from the calculation:
- E above lowest polymorph (eV per atom) = 0.0216
- total moment (μB per cell) = 36.00
- energy of formation (eV/atom) = -2.2199
- total energy after the MP2020 corrections (eV/f.u.) = -189.91

=====

Which formula does entry 1 have? Li9Mn2Co5O16